Material: Na4TaAl3P6O24
Method: DFT, PBE-GGA
State: optimized geometry

## Properties
Energy above the lowest structure with this stoichiometry   0.004 eV per atom
Symmetry   No. 1
E   -7.223 eV per atom

a b c (Å): 8.5636 8.5573 21.8044
angles (deg): 89.99 90.09 119.98
Element x y z (fractional)
O1 0.1324 0.4940 0.8603
O2 0.0285 0.1877 0.9095
O3 0.6972 0.1616 0.0296
O4 0.1591 0.9720 0.9094
O5 0.5303 0.8376 0.7557
O6 0.1618 0.6972 0.4747
O7 0.8126 0.8408 0.9101
O8 0.0299 0.8407 0.4088
O9 0.4780 0.1689 0.2423
O10 0.8628 0.5032 0.4217
O11 0.3022 0.4646 0.4746
O12 0.6421 0.5037 0.9240
O13 0.9599 0.1644 0.3065
O14 0.8682 0.3714 0.6399
O15 0.3594 0.5035 0.0772
O16 0.1743 0.2012 0.6893
O17 0.9792 0.1639 0.5912
O18 0.5330 0.8339 0.4720
O19 0.4771 0.3038 0.7422
O20 0.7917 0.8298 0.1916
O21 0.1622 0.6931 0.7548
O22 0.7022 0.5396 0.5278
O23 0.3540 0.8505 0.5762
O24 0.3605 0.8671 0.8602
O25 0.8625 0.3586 0.9242
O26 0.0396 0.2043 0.1938
O27 0.1337 0.6402 0.3575
O28 0.8390 0.3006 0.5273
O29 0.5039 0.6395 0.8618
O30 0.0276 0.8263 0.6894
O31 0.8007 0.9705 0.6920
O32 0.3605 0.4939 0.3575
O33 0.8360 0.5370 0.0302
O34 0.9736 0.8110 0.0922
O35 0.1473 0.6423 0.0770
O36 0.6359 0.1277 0.1437
O37 0.1448 0.4999 0.5767
O38 0.8323 0.0339 0.8076
O39 0.5212 0.6891 0.2570
O40 0.3004 0.8353 0.9748
O41 0.8312 0.3097 0.2426
O42 0.4972 0.3599 0.4222
O43 0.8261 0.5232 0.7417
O44 0.1595 0.1898 0.4090
O45 0.4633 0.3020 0.0291
O46 0.9666 0.8012 0.8060
O47 0.8374 0.7980 0.3052
O48 0.1679 0.4786 0.2574
O49 0.5388 0.6988 0.9772
O50 0.4957 0.1376 0.9237
O51 0.1985 0.1657 0.8060
O52 0.1891 0.0215 0.5903
O53 0.8108 0.9702 0.4083
O54 0.1864 0.1608 0.0921
O55 0.4990 0.1318 0.6410
O56 0.1640 0.9598 0.1938
O57 0.4995 0.8522 0.0777
O58 0.8749 0.5095 0.1439
O59 0.4945 0.6407 0.5753
O60 0.8349 0.0202 0.0920
O61 0.6898 0.5205 0.2427
O62 0.4951 0.3694 0.1426
O63 0.6267 0.4993 0.6400
O64 0.3072 0.4696 0.7549
O65 0.2048 0.0408 0.3065
O66 0.8375 0.8119 0.5911
O67 0.1659 0.4650 0.9748
O68 0.6402 0.1372 0.4218
O69 0.5085 0.8694 0.3559
O70 0.6971 0.1738 0.7423
O71 0.3100 0.8318 0.2573
O72 0.4635 0.1630 0.5281
Al1 0.9942 0.9991 0.6494
Al2 0.3334 0.6671 0.3156
Al3 0.6658 0.3317 0.6893
Al4 0.6676 0.3329 0.1838
Al5 0.3396 0.6719 0.5175
Al6 0.0051 0.0042 0.1468
Al7 0.0008 0.0009 0.3546
Al8 0.3275 0.6659 0.0195
Al9 0.9995 0.0003 0.8521
P1 0.6263 0.6793 0.9187
P2 0.2867 0.2743 0.7486
P3 0.7260 0.0123 0.7494
P4 0.9646 0.6270 0.0866
P5 0.0538 0.3743 0.9182
P6 0.9873 0.7135 0.7485
P7 0.0563 0.6781 0.4155
P8 0.6652 0.6275 0.5863
P9 0.6664 0.0403 0.0868
P10 0.9998 0.2857 0.2502
P11 0.3200 0.9461 0.9180
P12 0.2857 0.0002 0.2502
P13 0.3224 0.3785 0.4156
P14 0.6218 0.9436 0.4146
P15 0.3694 0.3301 0.0861
P16 0.3788 0.0394 0.5865
P17 0.9559 0.3297 0.5866
P18 0.7135 0.7132 0.2497
Na1 0.0324 0.6978 0.5858
Na2 0.3008 0.3311 0.5860
Na3 0.6664 0.3328 0.3331
Na4 0.3230 0.6657 0.1629
Na5 0.0106 0.0095 0.9971
Na6 0.6670 0.3331 0.8265
Na7 0.6344 0.9997 0.2509
Na8 0.9891 0.9987 0.4972
Na9 0.6672 0.6990 0.0824
Na10 0.0002 0.6352 0.2506
Na11 0.3643 0.3649 0.2509
Na12 0.3459 0.6777 0.6651
Ta1 0.6660 0.3316 0.9775
Ta2 0.3325 0.6665 0.8079
Ta3 0.6677 0.3328 0.4769